1.
This record from the Materials Project describes crystalline CsInF3 at its relaxed geometry. The functional is PBE-GGA.

Its energy of formation from the pure elements is -2.76 eV per atom. As for the uncorrected energy: -4.358 eV per atom.

The space group is Fm-3m (No. 225) and the conventional cell measures 9.578, 9.578 and 9.578 Å, with angles of 90.00, 90.00 and 90.00 degrees. Symmetry generates all atoms from Cs at (0.250, 0.250, 0.250), In at (0.000, 0.000, 0.000), In at (0.000, 0.000, 0.500) and F at (0.000, 0.000, 0.222).

=====

2.
This record from the Materials Project describes crystalline Cs2KInF6 at its relaxed geometry. The functional is PBE-GGA.

Its energy of formation from the pure elements is -3.01 eV per atom. As for the uncorrected energy: -4.451 eV per atom. The total magnetization comes out at 0.0 μB per cell.

The space group is Fm-3m (No. 225) and the conventional cell measures 9.453, 9.453 and 9.453 Å, with angles of 90.00, 90.00 and 90.00 degrees. Symmetry generates all atoms from Cs at (0.250, 0.250, 0.250), K at (0.000, 0.000, 0.000), In at (0.000, 0.000, 0.500) and F at (0.000, 0.000, 0.276).